Here is a relaxed MgMnV5O12 crystal from the Materials Project database. Energies are from GGA+U.

Cell and atoms, written as extended XYZ:
```
19
Lattice="5.5935 0.0000 0.0000 2.2472 6.6600 0.0000 2.1573 0.9117 6.7282" Properties=species:S:1:pos:R:3 pbc="T T T"
Mg 0.0000 0.0000 0.0000
Mn 7.7934 4.5185 2.5259
V 3.2136 4.4297 5.9907
V 5.0275 5.5978 1.3002
V 3.8453 2.3981 0.6180
V 6.3687 6.4472 4.5107
V 6.7453 1.0987 3.2512
O 1.6952 2.5049 2.4546
O 3.2524 6.4989 1.9878
O 2.2757 0.7150 4.5588
O 4.9126 3.8335 5.9210
O 6.2292 6.6106 6.2978
O 4.0630 3.8576 1.6449
O 5.8870 5.4900 3.0740
O 3.7048 0.6537 0.9309
O 5.1298 1.2936 3.9086
O 7.6998 3.0380 6.5203
O 8.0094 5.1918 4.5543
O 6.8202 4.8661 0.5164
```

Computed properties:
- crystal system = triclinic
- SG = No. 1
- energy above the most stable polymorph in this dataset (meV per atom) = 0.0
- total magnetization (μB/cell) = 10.00

=====

Here is a relaxed MgMn2V2O8 crystal from the Materials Project database. Energies are from GGA+U.

Cell and atoms, written as extended XYZ:
```
13
Lattice="6.5253 0.0000 0.0000 0.0000 2.9144 4.4492 0.0000 -2.9144 4.4492" Properties=species:S:1:pos:R:3 pbc="T T T"
Mg 0.0000 0.0000 0.0000
Mn 1.6813 0.0000 3.0345
Mn 4.8440 0.0000 3.0345
V 0.0000 0.0000 6.1373
V 3.2627 0.0000 8.7477
O 0.0000 -1.5252 2.8708
O 0.0000 1.5252 2.8708
O 1.3480 0.0000 5.1299
O 1.7900 0.0000 0.8350
O 3.2627 -1.4902 3.2923
O 3.2627 1.4902 3.2923
O 4.7353 0.0000 0.8350
O 5.1773 0.0000 5.1299
```

Computed properties:
- crystal system = orthorhombic
- SG = No. 38
- energy above the most stable polymorph in this dataset (meV per atom) = 0.0
- total magnetization (μB/cell) = 10.00

=====

| no. | density (g/cm3) | ΔH_f (0 K) (eV/f.u.) |
| --- | --- | --- |
| 1 | 3.5 | -46.4 |
| 2 | 3.6 | -31.0 |